Record 1
! CdInPd2, optimized geometry, DFT r2SCAN; values from VASP
&SYSTEM
  ibrav = 0, nat = 4, ntyp = 3
/
ATOMIC_SPECIES
Cd 112.41 Cd.upf
In 114.82 In.upf
Pd 106.42 Pd.upf
CELL_PARAMETERS angstrom
0.000 3.256 3.256
3.256 0.000 3.256
3.256 3.256 0.000
ATOMIC_POSITIONS crystal
Cd 0.250 0.250 0.250
In 0.750 0.750 0.750
Pd 0.000 0.000 0.000
Pd 0.500 0.500 0.500
! Formation energy from the elements = -50.3 kJ/mol of atoms
! SG = No. 225
! Spin magnetization = 0.00 Bohr magnetons per cell
! Raw total energy = -22.67 eV per atom

Record 2
! CsO, optimized geometry, DFT r2SCAN; values from VASP
&SYSTEM
  ibrav = 0, nat = 4, ntyp = 2
/
ATOMIC_SPECIES
Cs 132.91 Cs.upf
O 16.00 O.upf
CELL_PARAMETERS angstrom
-0.246 -0.214 4.321
4.823 0.192 2.457
0.355 4.826 2.432
ATOMIC_POSITIONS crystal
Cs 0.746 0.254 0.254
Cs 0.254 0.746 0.746
O 0.000 0.617 0.383
O 0.000 0.383 0.617
! Formation energy from the elements = -110.4 kJ/mol of atoms
! SG = No. 71
! Spin magnetization = 0.00 Bohr magnetons per cell
! Raw total energy = -16.69 eV per atom

Record 3
! Li2PdO3, optimized geometry, DFT r2SCAN; values from VASP
&SYSTEM
  ibrav = 0, nat = 12, ntyp = 3
/
ATOMIC_SPECIES
Li 6.94 Li.upf
Pd 106.42 Pd.upf
O 16.00 O.upf
CELL_PARAMETERS angstrom
2.552 4.416 0.002
-2.552 4.416 -0.002
-1.703 0.000 4.764
ATOMIC_POSITIONS crystal
Li 0.500 0.500 0.500
Li 0.164 0.164 0.500
Li 0.836 0.836 0.500
Li 0.000 0.000 0.000
Pd 0.333 0.333 0.000
Pd 0.667 0.667 0.000
O 0.268 0.732 0.762
O 0.078 0.575 0.235
O 0.425 0.922 0.235
O 0.922 0.425 0.765
O 0.575 0.078 0.765
O 0.732 0.268 0.238
! Formation energy from the elements = -143.1 kJ/mol of atoms
! SG = No. 12
! Spin magnetization = 0.00 Bohr magnetons per cell
! Raw total energy = -9.09 eV per atom

Record 4
! SrTlPS4, optimized geometry, DFT r2SCAN; values from VASP
&SYSTEM
  ibrav = 0, nat = 28, ntyp = 4
/
ATOMIC_SPECIES
Sr 87.62 Sr.upf
Tl 204.38 Tl.upf
P 30.97 P.upf
S 32.06 S.upf
CELL_PARAMETERS angstrom
6.630 0.000 0.000
0.000 8.709 0.000
0.000 0.000 12.719
ATOMIC_POSITIONS crystal
Sr 0.250 0.608 0.136
Sr 0.750 0.392 0.864
Sr 0.750 0.108 0.364
Sr 0.250 0.892 0.636
Tl 0.750 0.879 0.891
Tl 0.250 0.121 0.109
Tl 0.250 0.379 0.609
Tl 0.750 0.621 0.391
P 0.750 0.128 0.649
P 0.250 0.628 0.851
P 0.750 0.372 0.149
P 0.250 0.872 0.351
S 0.495 0.638 0.754
S 0.995 0.362 0.246
S 0.505 0.138 0.746
S 0.005 0.862 0.254
S 0.995 0.138 0.746
S 0.505 0.362 0.246
S 0.495 0.862 0.254
S 0.005 0.638 0.754
S 0.250 0.686 0.448
S 0.750 0.314 0.552
S 0.750 0.186 0.052
S 0.250 0.814 0.948
S 0.250 0.075 0.432
S 0.750 0.925 0.568
S 0.750 0.575 0.068
S 0.250 0.425 0.932
! Formation energy from the elements = -104.4 kJ/mol of atoms
! SG = No. 62
! Spin magnetization = 0.00 Bohr magnetons per cell
! Raw total energy = -16.72 eV per atom

spin magnetization of number 3 (Li2PdO3)? 0.00 Bohr magnetons per cell

Which of these has the highest formation energy from the elements? CdInPd2

Copy entry 4 word for word.
! SrTlPS4, optimized geometry, DFT r2SCAN; values from VASP
&SYSTEM
  ibrav = 0, nat = 28, ntyp = 4
/
ATOMIC_SPECIES
Sr 87.62 Sr.upf
Tl 204.38 Tl.upf
P 30.97 P.upf
S 32.06 S.upf
CELL_PARAMETERS angstrom
6.630 0.000 0.000
0.000 8.709 0.000
0.000 0.000 12.719
ATOMIC_POSITIONS crystal
Sr 0.250 0.608 0.136
Sr 0.750 0.392 0.864
Sr 0.750 0.108 0.364
Sr 0.250 0.892 0.636
Tl 0.750 0.879 0.891
Tl 0.250 0.121 0.109
Tl 0.250 0.379 0.609
Tl 0.750 0.621 0.391
P 0.750 0.128 0.649
P 0.250 0.628 0.851
P 0.750 0.372 0.149
P 0.250 0.872 0.351
S 0.495 0.638 0.754
S 0.995 0.362 0.246
S 0.505 0.138 0.746
S 0.005 0.862 0.254
S 0.995 0.138 0.746
S 0.505 0.362 0.246
S 0.495 0.862 0.254
S 0.005 0.638 0.754
S 0.250 0.686 0.448
S 0.750 0.314 0.552
S 0.750 0.186 0.052
S 0.250 0.814 0.948
S 0.250 0.075 0.432
S 0.750 0.925 0.568
S 0.750 0.575 0.068
S 0.250 0.425 0.932
! Formation energy from the elements = -104.4 kJ/mol of atoms
! SG = No. 62
! Spin magnetization = 0.00 Bohr magnetons per cell
! Raw total energy = -16.72 eV per atom

Which value of formation energy from the elements does entry 2 give? -110.4 kJ/mol of atoms